No. 1
Density functional theory data (GGA-PBE) for crystalline Li5CuP3O11 at its relaxed geometry.

The structure in extended XYZ format:
```
40
Lattice="5.390 0.000 0.000 -0.732 8.233 0.000 -0.117 -1.059 9.539" Properties=species:S:1:pos:R:3 pbc="T T T"
Li 5.345 -0.328 3.326
Li -0.803 7.503 6.213
Li 0.677 2.284 7.743
Li 0.725 4.628 6.451
Li 1.161 2.552 1.560
Li 1.174 4.790 3.341
Li 3.368 2.385 6.198
Li 3.381 4.623 7.979
Li 3.816 2.546 3.088
Li 3.865 4.891 1.797
Cu 0.000 0.000 0.000
Cu 2.637 -0.529 4.770
P 0.767 5.549 0.237
P 1.079 1.981 4.648
P 1.779 7.746 1.864
P 2.762 -0.571 7.676
P 3.463 5.194 4.891
P 3.775 1.625 9.302
O -0.237 0.902 9.366
O 0.165 0.781 4.959
O 0.460 2.852 3.522
O 0.663 4.517 1.361
O 1.316 0.424 1.509
O 0.656 7.039 7.580
O 1.182 4.008 8.438
O 1.356 2.783 5.951
O 1.384 6.900 3.103
O 1.893 6.639 0.679
O 2.473 1.415 4.134
O 2.069 5.760 5.405
O 2.649 0.536 8.860
O 3.158 0.275 6.436
O 3.185 4.392 3.588
O 3.360 3.166 1.102
O 3.885 0.135 1.959
O 3.226 6.750 8.031
O 3.879 2.657 8.178
O 4.082 4.323 6.017
O 4.377 6.393 4.580
O 4.779 6.273 0.174
```

Summary:
The value obtained for the calculated total energy is -253.8 eV for the cell shown. For the formation energy, the calculation gives -2.5063 eV/atom. As for the space-group type: P-1 (2).


No. 2
Density functional theory data (GGA-PBE) for crystalline Li2CuPO4 at its relaxed geometry.

The structure in extended XYZ format:
```
16
Lattice="5.057 0.000 0.000 0.000 5.418 0.000 -5.057 0.000 6.176" Properties=species:S:1:pos:R:3 pbc="T T T"
Li 0.000 0.824 0.000
Li -2.529 4.594 3.088
Li -2.533 1.780 4.650
Li -0.005 3.637 1.562
Cu 2.568 1.863 1.511
Cu 0.039 3.554 4.599
P 0.018 0.924 3.088
P -2.511 4.494 6.175
O -0.432 1.703 1.806
O -2.961 3.715 4.893
O -3.058 0.535 6.112
O -0.530 4.883 3.025
O -0.558 1.607 4.376
O 1.971 3.811 1.288
O 1.573 0.921 3.147
O 4.101 4.497 0.060
```

Summary:
The value obtained for the calculated total energy is -97.4 eV for the cell shown. As for the offset from the most stable computed form: 1.44 kJ per mole of atoms. For the formation energy, the calculation gives -2.2919 eV/atom. The calculation puts the largest piezoelectric modulus at 0.6 C/m². As for the space-group type: Pc (7).


No. 3
Density functional theory data (GGA-PBE) for crystalline Li2CuPO4 at its relaxed geometry.

The structure in extended XYZ format:
```
32
Lattice="5.429 0.000 0.000 -0.036 6.188 0.000 -0.005 -0.006 10.088" Properties=species:S:1:pos:R:3 pbc="T T T"
Li 0.000 0.000 0.000
Li 5.426 0.002 5.070
Li 1.642 3.100 2.544
Li 1.659 3.099 7.575
Li 2.595 1.566 5.081
Li 2.612 1.579 0.002
Li 4.473 1.522 7.567
Li 4.467 4.665 7.565
Cu 2.608 4.605 5.088
Cu 2.656 4.601 0.014
Cu 4.405 1.517 2.607
Cu 4.383 4.683 2.568
P 1.761 0.036 2.556
P 1.763 0.031 7.613
P 5.310 3.070 5.158
P 5.316 3.064 10.063
O 0.291 0.010 7.090
O 0.322 0.016 1.954
O 1.332 3.012 4.577
O 1.354 3.009 9.524
O 1.729 0.084 4.113
O 1.757 0.073 9.178
O 2.428 4.896 2.097
O 2.475 1.310 1.984
O 2.494 4.918 7.169
O 2.519 1.291 7.066
O 4.516 1.802 4.676
O 4.529 1.806 9.567
O 4.624 4.393 4.653
O 4.629 4.373 9.530
O 5.308 3.087 6.709
O 5.374 3.096 1.542
```

Summary:
The value obtained for the calculated total energy is -194.8 eV for the cell shown. As for the offset from the most stable computed form: 1.54 kJ per mole of atoms. For the formation energy, the calculation gives -2.2909 eV/atom. As for the space-group type: P1 (1).